Entry 1:
CaPO6: optimized geometry, PBE-GGA.

- VASP energy (eV/cell) = -101.88
- SG = No. 15
- formation energy from the elements (eV per atom) = -1.850
- mass density (kg/m3) = 2206

Cell: 8.0223 8.0223 6.0772 Å, 81.47 81.47 135.64°
With the nearest neighbours (Å) after each atom.
Fractional coordinates of all 16 atoms:
P (0.1641, 0.8359, 0.7500)  4 O 1.54-1.56
O (0.1528, 0.7089, 0.5760)  1 P 1.54
O (0.2911, 0.8472, 0.9240)  1 P 1.54
O (0.7089, 0.1528, 0.0760)  1 P 1.54
O (0.8797, 0.6728, 0.8820)  1 P 1.56
O (0.8472, 0.2911, 0.4240)  1 P 1.54
Ca (0.6868, 0.3132, 0.7500)  6 O 2.30-2.46
O (0.3272, 0.1203, 0.6180)  1 P 1.56
O (0.1445, 0.0704, 0.1947)  1 O 1.21
O (0.6728, 0.8797, 0.3820)  1 P 1.56
P (0.8359, 0.1641, 0.2500)  4 O 1.54-1.56
O (0.9296, 0.8555, 0.3053)  1 O 1.21
Ca (0.3132, 0.6868, 0.2500)  6 O 2.30-2.46
O (0.0704, 0.1445, 0.6947)  1 O 1.21
O (0.1203, 0.3272, 0.1180)  1 P 1.56
O (0.8555, 0.9296, 0.8053)  1 O 1.21

=====

Entry 2:
MnVN2: optimized geometry, PBE-GGA.

- VASP energy (eV/cell) = -37.14
- SG = No. 1
- formation energy from the elements (eV per atom) = -0.736
- mass density (kg/m3) = 5418

Cell: 3.1287 5.1775 14.5683 Å, 20.41 90.12 72.52°
With the nearest neighbours (Å) after each atom.
Fractional coordinates of all 4 atoms:
N (0.0010, 0.7476, 0.6955)  3 Mn 1.85, 1 V 1.94
V (0.9993, 0.7524, 0.5607)  4 N 1.90-1.94
Mn (0.9994, 0.7518, 0.0560)  4 N 1.85-1.90
N (0.0003, 0.7481, 0.1878)  3 V 1.90, 1 Mn 1.90

=====

Entry 3:
KH5O3: optimized geometry, PBE-GGA.

- VASP energy (eV/cell) = -173.85
- SG = No. 5
- formation energy from the elements (eV per atom) = -1.401
- mass density (kg/m3) = 1683

Cell: 7.3866 7.3866 8.3192 Å, 64.82 64.82 89.40°
With the nearest neighbours (Å) after each atom.
Fractional coordinates of all 36 atoms:
O (0.4088, 0.1443, 0.4996)  2 H 1.00-1.01
H (0.9967, 0.1868, 0.7682)  1 O 0.98
H (0.2465, 0.5795, 0.5997)  1 O 1.02
K (0.4953, 0.2435, 0.7650)  7 O 2.83-3.14, 5 H 2.88-3.12
H (0.0791, 0.2361, 0.0978)  1 O 1.01
H (0.0780, 0.8980, 0.1004)  1 O 1.01
K (0.5127, 0.7615, 0.7318)  8 O 2.87-3.10, 9 H 2.95-3.21
O (0.4428, 0.0010, 0.2366)  1 H 0.98
H (0.7498, 0.4467, 0.9159)  1 O 1.01
O (0.5963, 0.4037, 0.0000)  2 H 1.01
O (0.1619, 0.3800, 0.0057)  2 H 1.01
O (0.9990, 0.5572, 0.7634)  1 H 0.98
H (0.4240, 0.0902, 0.4039)  1 O 1.00
H (0.9107, 0.1222, 0.5856)  1 O 1.01
O (0.8384, 0.1616, 0.5000)  2 H 1.01
H (0.5533, 0.2502, 0.0841)  1 O 1.01
H (0.2561, 0.1157, 0.5889)  1 O 1.01
H (0.8132, 0.0033, 0.2318)  1 O 0.98
O (0.9304, 0.9885, 0.2599)  1 H 0.98
H (0.8778, 0.0893, 0.4144)  1 O 1.01
H (0.9098, 0.5760, 0.5961)  1 O 1.00
H (0.3035, 0.9995, 0.2519)  1 O 0.98
K (0.2385, 0.4873, 0.2682)  8 O 2.87-3.10, 9 H 2.95-3.21
O (0.6200, 0.8381, 0.9943)  2 H 1.01
H (0.5530, 0.9030, 0.0850)  1 O 1.01
H (0.7639, 0.9209, 0.9022)  1 O 1.01
H (0.0970, 0.4470, 0.9150)  1 O 1.01
O (0.0115, 0.0696, 0.7401)  1 H 0.98
H (0.4205, 0.7535, 0.4003)  1 O 1.02
O (0.3955, 0.6045, 0.5000)  2 H 1.02
K (0.7565, 0.5047, 0.2350)  7 O 2.83-3.14, 5 H 2.88-3.12
H (0.8843, 0.7439, 0.4111)  1 O 1.01
O (0.8557, 0.5912, 0.5004)  2 H 1.00-1.01
H (0.0005, 0.6965, 0.7481)  1 O 0.98
H (0.1020, 0.9220, 0.8996)  1 O 1.01
O (0.1528, 0.8472, 0.0000)  2 H 1.01

=====

Entry 4:
Dy3Ga8Rh3: optimized geometry, PBE-GGA.

- VASP energy (eV/cell) = -70.04
- SG = No. 71
- formation energy from the elements (eV per atom) = -0.708
- mass density (kg/m3) = 8735

Cell: 8.1758 8.1758 8.1758 Å, 150.05 105.53 82.28°
With the nearest neighbours (Å) after each atom.
Fractional coordinates of all 14 atoms:
Rh (0.0000, 0.5000, 0.5000)  4 Ga 2.62
Dy (0.8294, 0.8294, 0.0000)  4 Rh 2.98-3.01, 8 Ga 3.06-3.17
Ga (0.9079, 0.6236, 0.2843)  3 Rh 2.60-2.62, 3 Ga 2.67-2.71
Rh (0.2184, 0.0000, 0.2184)  6 Ga 2.56-2.60
Dy (0.1706, 0.1706, 0.0000)  4 Rh 2.98-3.01, 8 Ga 3.06-3.17
Dy (0.5000, 0.5000, 0.0000)  12 Ga 3.20-3.22, 4 Rh 3.50
Ga (0.0921, 0.3764, 0.7157)  3 Rh 2.60-2.62, 3 Ga 2.67-2.71
Ga (0.2035, 0.8325, 0.3711)  4 Ga 2.55-2.71, 1 Rh 2.56
Rh (0.7816, 0.0000, 0.7816)  6 Ga 2.56-2.60
Ga (0.7965, 0.1675, 0.6289)  4 Ga 2.55-2.71, 1 Rh 2.56
Ga (0.3393, 0.6236, 0.7157)  3 Rh 2.60-2.62, 3 Ga 2.67-2.71
Ga (0.5386, 0.1675, 0.3711)  4 Ga 2.55-2.71, 1 Rh 2.56
Ga (0.4614, 0.8325, 0.6289)  4 Ga 2.55-2.71, 1 Rh 2.56
Ga (0.6607, 0.3764, 0.2843)  3 Rh 2.60-2.62, 3 Ga 2.67-2.71

=====

Entry 5:
Na12SnGe8: optimized geometry, PBE-GGA.

- VASP energy (eV/cell) = -480.74
- SG = No. 92
- formation energy from the elements (eV per atom) = -0.154
- mass density (kg/m3) = 2897

Cell: 14.2381 14.2381 22.0684 Å, 90.00 90.00 90.00°
With the nearest neighbours (Å) after each atom.
Fractional coordinates of all 168 atoms:
Na (0.3743, 0.4293, 0.3747)  3 Ge 3.19-3.43, 6 Na 3.27-3.51, 2 Sn 3.41
Na (0.5658, 0.7232, 0.5150)  4 Ge 3.09-3.23, 1 Na 3.24, 1 Sn 3.38
Ge (0.7831, 0.4479, 0.1127)  3 Ge 2.60-2.63
Ge (0.0775, 0.6407, 0.6628)  3 Ge 2.59-2.67
Ge (0.5521, 0.2169, 0.3873)  3 Ge 2.60-2.63
Na (0.0634, 0.1035, 0.6209)  3 Ge 3.23-3.34, 5 Na 3.27-3.55, 2 Sn 3.29-3.34
Ge (0.4157, 0.8229, 0.4371)  3 Ge 2.61-2.64
Ge (0.5473, 0.7985, 0.6510)  3 Ge 2.57-2.65
Ge (0.1189, 0.5850, 0.1749)  3 Ge 2.57-2.62
Ge (0.7238, 0.2234, 0.8645)  3 Ge 2.62-2.65
Na (0.6452, 0.6656, 0.7331)  3 Ge 2.96-3.25, 1 Sn 3.18
Na (0.9790, 0.8617, 0.3747)  1 Ge 3.09, 2 Sn 3.32-3.42, 3 Na 3.33-3.45
Na (0.1203, 0.6346, 0.4053)  3 Ge 2.96-3.13
Ge (0.8184, 0.6272, 0.8028)  3 Ge 2.59-2.62
Na (0.1170, 0.3837, 0.6742)  5 Ge 3.10-3.39
Na (0.3537, 0.6756, 0.0047)  3 Ge 3.11-3.29, 1 Sn 3.25, 3 Na 3.38-3.45
Na (0.0753, 0.2312, 0.0222)  2 Ge 3.03-3.21, 1 Na 3.29, 1 Sn 3.32
Na (0.1452, 0.8344, 0.0169)  3 Ge 2.96-3.25, 1 Sn 3.18
Na (0.1383, 0.0210, 0.1253)  1 Ge 3.09, 2 Sn 3.32-3.42, 3 Na 3.33-3.45
Ge (0.5850, 0.1189, 0.8251)  3 Ge 2.57-2.62
Ge (0.2606, 0.2296, 0.6085)  3 Ge 2.62-2.67
Na (0.1035, 0.0634, 0.3791)  3 Ge 3.23-3.34, 5 Na 3.27-3.55, 2 Sn 3.29-3.34
Na (0.0658, 0.7768, 0.2350)  4 Ge 3.09-3.23, 1 Na 3.24, 1 Sn 3.38
Ge (0.2394, 0.7296, 0.6415)  3 Ge 2.62-2.67
Na (0.9366, 0.8965, 0.1209)  3 Ge 3.23-3.34, 5 Na 3.27-3.55, 2 Sn 3.29-3.34
Na (0.0010, 0.4816, 0.2876)  5 Ge 3.02-3.36
Ge (0.7015, 0.0473, 0.9010)  3 Ge 2.57-2.65
Na (0.2688, 0.5753, 0.2722)  2 Ge 3.03-3.21, 1 Na 3.29, 1 Sn 3.32
Na (0.8548, 0.1656, 0.5169)  3 Ge 2.96-3.25, 1 Sn 3.18
Na (0.3244, 0.6463, 0.4953)  3 Ge 3.11-3.29, 1 Sn 3.25, 3 Na 3.38-3.45
Ge (0.6272, 0.8184, 0.1972)  3 Ge 2.59-2.62
Ge (0.4479, 0.7831, 0.8873)  3 Ge 2.60-2.63
Ge (0.8811, 0.4150, 0.6749)  3 Ge 2.57-2.62
Na (0.4293, 0.3743, 0.6253)  3 Ge 3.19-3.43, 6 Na 3.27-3.51, 2 Sn 3.41
Sn (0.4973, 0.4973, 0.5000)  12 Na 3.25-3.45
Na (0.5823, 0.7296, 0.9812)  2 Ge 2.92-2.98, 1 Na 3.08
Na (0.9990, 0.5184, 0.7876)  5 Ge 3.02-3.36
Na (0.3797, 0.1346, 0.8447)  3 Ge 2.96-3.13
Ge (0.7704, 0.7394, 0.8915)  3 Ge 2.62-2.67
Ge (0.2762, 0.7766, 0.3645)  3 Ge 2.62-2.65
Na (0.7383, 0.4213, 0.2468)  4 Ge 3.01-3.33, 2 Na 3.22-3.35
Na (0.7768, 0.0658, 0.7650)  4 Ge 3.09-3.23, 1 Na 3.24, 1 Sn 3.38
Ge (0.9150, 0.6189, 0.4249)  3 Ge 2.57-2.62
Ge (0.1272, 0.6816, 0.5528)  3 Ge 2.59-2.62
Na (0.4790, 0.6383, 0.3753)  1 Ge 3.09, 2 Sn 3.32-3.42, 3 Na 3.33-3.45
Na (0.4366, 0.6035, 0.6291)  3 Ge 3.23-3.34, 5 Na 3.27-3.55, 2 Sn 3.29-3.34
Na (0.5707, 0.6257, 0.1253)  3 Ge 3.19-3.43, 6 Na 3.27-3.51, 2 Sn 3.41
Na (0.9816, 0.4990, 0.0376)  5 Ge 3.02-3.36
Ge (0.1771, 0.5843, 0.0629)  3 Ge 2.61-2.64
Na (0.3617, 0.5210, 0.1247)  1 Ge 3.09, 2 Sn 3.32-3.42, 3 Na 3.33-3.45
Na (0.4342, 0.2768, 0.0150)  4 Ge 3.09-3.23, 1 Na 3.24, 1 Sn 3.38
Na (0.4816, 0.0010, 0.7124)  5 Ge 3.02-3.36
Ge (0.3811, 0.0850, 0.0751)  3 Ge 2.57-2.62
Ge (0.4150, 0.8811, 0.3251)  3 Ge 2.57-2.62
Na (0.1656, 0.8548, 0.4831)  3 Ge 2.96-3.25, 1 Sn 3.18
Na (0.2704, 0.4177, 0.5188)  2 Ge 2.92-2.98, 1 Na 3.08
Ge (0.7296, 0.2394, 0.3585)  3 Ge 2.62-2.67
Na (0.6756, 0.3537, 0.9953)  3 Ge 3.11-3.29, 1 Sn 3.25, 3 Na 3.38-3.45
Sn (0.9973, 0.0027, 0.2500)  12 Na 3.25-3.45
Ge (0.9479, 0.7169, 0.8627)  3 Ge 2.60-2.63
Ge (0.8229, 0.4157, 0.5629)  3 Ge 2.61-2.64
Na (0.2617, 0.5787, 0.7468)  4 Ge 3.01-3.33, 2 Na 3.22-3.35
Ge (0.4225, 0.1407, 0.5872)  3 Ge 2.59-2.67
Ge (0.3593, 0.9225, 0.8372)  3 Ge 2.59-2.67
Ge (0.2296, 0.2606, 0.3915)  3 Ge 2.62-2.67
Ge (0.6771, 0.9157, 0.6871)  3 Ge 2.61-2.64
Na (0.2232, 0.9342, 0.2650)  4 Ge 3.09-3.23, 1 Na 3.24, 1 Sn 3.38
Ge (0.2766, 0.2238, 0.1145)  3 Ge 2.62-2.65
Ge (0.7606, 0.2704, 0.1415)  3 Ge 2.62-2.67
Na (0.3830, 0.8837, 0.5758)  5 Ge 3.10-3.39
Na (0.4177, 0.2704, 0.4812)  2 Ge 2.92-2.98, 1 Na 3.08
Na (0.8830, 0.6163, 0.1742)  5 Ge 3.10-3.39
Sn (0.5101, 0.4899, 0.7500)  10 Na 3.18-3.41
Na (0.1346, 0.3797, 0.1553)  3 Ge 2.96-3.13
Na (0.7296, 0.5823, 0.0188)  2 Ge 2.92-2.98, 1 Na 3.08
Ge (0.8593, 0.5775, 0.9128)  3 Ge 2.59-2.67
Na (0.7312, 0.4247, 0.7722)  2 Ge 3.03-3.21, 1 Na 3.29, 1 Sn 3.32
Ge (0.9225, 0.3593, 0.1628)  3 Ge 2.59-2.67
Ge (0.0843, 0.3229, 0.8129)  3 Ge 2.61-2.64
Na (0.1756, 0.1463, 0.7547)  3 Ge 3.11-3.29, 1 Sn 3.25, 3 Na 3.38-3.45
Ge (0.7766, 0.2762, 0.6355)  3 Ge 2.62-2.65
Na (0.6346, 0.1203, 0.5947)  3 Ge 2.96-3.13
Ge (0.1407, 0.4225, 0.4128)  3 Ge 2.59-2.67
Ge (0.0850, 0.3811, 0.9249)  3 Ge 2.57-2.62
Na (0.3837, 0.1170, 0.3258)  5 Ge 3.10-3.39
Na (0.9247, 0.7688, 0.5222)  2 Ge 3.03-3.21, 1 Na 3.29, 1 Sn 3.32
Na (0.1163, 0.6170, 0.9242)  5 Ge 3.10-3.39
Sn (0.5027, 0.5027, 0.0000)  12 Na 3.25-3.45
Na (0.7617, 0.9213, 0.0032)  4 Ge 3.01-3.33, 2 Na 3.22-3.35
Na (0.8797, 0.3654, 0.9053)  3 Ge 2.96-3.13
Na (0.6203, 0.8654, 0.3447)  3 Ge 2.96-3.13
Ge (0.3229, 0.0843, 0.1871)  3 Ge 2.61-2.64
Na (0.5010, 0.0184, 0.4624)  5 Ge 3.02-3.36
Na (0.5787, 0.2617, 0.2532)  4 Ge 3.01-3.33, 2 Na 3.22-3.35
Na (0.9293, 0.1257, 0.1247)  3 Ge 3.19-3.43, 6 Na 3.27-3.51, 2 Sn 3.41
Na (0.2312, 0.0753, 0.9778)  2 Ge 3.03-3.21, 1 Na 3.29, 1 Sn 3.32
Na (0.6656, 0.6452, 0.2669)  3 Ge 2.96-3.25, 1 Sn 3.18
Na (0.9213, 0.7617, 0.9968)  4 Ge 3.01-3.33, 2 Na 3.22-3.35
Na (0.4247, 0.7312, 0.2278)  2 Ge 3.03-3.21, 1 Na 3.29, 1 Sn 3.32
Na (0.3548, 0.3344, 0.2331)  3 Ge 2.96-3.25, 1 Sn 3.18
Ge (0.6816, 0.1272, 0.4472)  3 Ge 2.59-2.62
Na (0.7688, 0.9247, 0.4778)  2 Ge 3.03-3.21, 1 Na 3.29, 1 Sn 3.32
Ge (0.1816, 0.3728, 0.3028)  3 Ge 2.59-2.62
Na (0.6257, 0.5707, 0.8747)  3 Ge 3.19-3.43, 6 Na 3.27-3.51, 2 Sn 3.41
Na (0.8617, 0.9790, 0.6253)  1 Ge 3.09, 2 Sn 3.32-3.42, 3 Na 3.33-3.45
Na (0.3344, 0.3548, 0.7669)  3 Ge 2.96-3.25, 1 Sn 3.18
Ge (0.2238, 0.2766, 0.8855)  3 Ge 2.62-2.65
Na (0.0210, 0.1383, 0.8747)  1 Ge 3.09, 2 Sn 3.32-3.42, 3 Na 3.33-3.45
Ge (0.6189, 0.9150, 0.5751)  3 Ge 2.57-2.62
Na (0.1257, 0.9293, 0.8753)  3 Ge 3.19-3.43, 6 Na 3.27-3.51, 2 Sn 3.41
Ge (0.2234, 0.7238, 0.1355)  3 Ge 2.62-2.65
Ge (0.9157, 0.6771, 0.3129)  3 Ge 2.61-2.64
Ge (0.5775, 0.8593, 0.0872)  3 Ge 2.59-2.67
Ge (0.6407, 0.0775, 0.3372)  3 Ge 2.59-2.67
Ge (0.0521, 0.2831, 0.3627)  3 Ge 2.60-2.63
Na (0.5210, 0.3617, 0.8753)  1 Ge 3.09, 2 Sn 3.32-3.42, 3 Na 3.33-3.45
Ge (0.7985, 0.5473, 0.3490)  3 Ge 2.57-2.65
Ge (0.2169, 0.5521, 0.6127)  3 Ge 2.60-2.63
Ge (0.2704, 0.7606, 0.8585)  3 Ge 2.62-2.67
Sn (0.0027, 0.9973, 0.7500)  12 Na 3.25-3.45
Na (0.6383, 0.4790, 0.6247)  1 Ge 3.09, 2 Sn 3.32-3.42, 3 Na 3.33-3.45
Ge (0.7394, 0.7704, 0.1085)  3 Ge 2.62-2.67
Na (0.6170, 0.1163, 0.0758)  5 Ge 3.10-3.39
Na (0.5634, 0.3965, 0.1291)  3 Ge 3.23-3.34, 5 Na 3.27-3.55, 2 Sn 3.29-3.34
Na (0.3965, 0.5634, 0.8709)  3 Ge 3.23-3.34, 5 Na 3.27-3.55, 2 Sn 3.29-3.34
Ge (0.5843, 0.1771, 0.9371)  3 Ge 2.61-2.64
Ge (0.3184, 0.8728, 0.9472)  3 Ge 2.59-2.62
Na (0.6035, 0.4366, 0.3709)  3 Ge 3.23-3.34, 5 Na 3.27-3.55, 2 Sn 3.29-3.34
Ge (0.2831, 0.0521, 0.6373)  3 Ge 2.60-2.63
Na (0.8244, 0.8537, 0.2547)  3 Ge 3.11-3.29, 1 Sn 3.25, 3 Na 3.38-3.45
Ge (0.8728, 0.3184, 0.0528)  3 Ge 2.59-2.62
Ge (0.7234, 0.7762, 0.6145)  3 Ge 2.62-2.65
Na (0.8537, 0.8244, 0.7453)  3 Ge 3.11-3.29, 1 Sn 3.25, 3 Na 3.38-3.45
Na (0.8743, 0.0707, 0.3753)  3 Ge 3.19-3.43, 6 Na 3.27-3.51, 2 Sn 3.41
Ge (0.7169, 0.9479, 0.1373)  3 Ge 2.60-2.63
Na (0.3654, 0.8797, 0.0947)  3 Ge 2.96-3.13
Na (0.0707, 0.8743, 0.6247)  3 Ge 3.19-3.43, 6 Na 3.27-3.51, 2 Sn 3.41
Na (0.6163, 0.8830, 0.8258)  5 Ge 3.10-3.39
Na (0.9342, 0.2232, 0.7350)  4 Ge 3.09-3.23, 1 Na 3.24, 1 Sn 3.38
Sn (0.4899, 0.5101, 0.2500)  10 Na 3.18-3.41
Na (0.0787, 0.2383, 0.4968)  4 Ge 3.01-3.33, 2 Na 3.22-3.35
Na (0.9177, 0.2296, 0.2688)  2 Ge 2.92-2.98, 1 Na 3.08
Na (0.0823, 0.7704, 0.7688)  2 Ge 2.92-2.98, 1 Na 3.08
Na (0.2383, 0.0787, 0.5032)  4 Ge 3.01-3.33, 2 Na 3.22-3.35
Ge (0.7762, 0.7234, 0.3855)  3 Ge 2.62-2.65
Sn (0.0101, 0.0101, 0.0000)  10 Na 3.18-3.41
Na (0.7232, 0.5658, 0.4850)  4 Ge 3.09-3.23, 1 Na 3.24, 1 Sn 3.38
Na (0.8965, 0.9366, 0.8791)  3 Ge 3.23-3.34, 5 Na 3.27-3.55, 2 Sn 3.29-3.34
Na (0.0184, 0.5010, 0.5376)  5 Ge 3.02-3.36
Na (0.2296, 0.9177, 0.7312)  2 Ge 2.92-2.98, 1 Na 3.08
Ge (0.4527, 0.2015, 0.1510)  3 Ge 2.57-2.65
Ge (0.0473, 0.7015, 0.0990)  3 Ge 2.57-2.65
Ge (0.9527, 0.2985, 0.5990)  3 Ge 2.57-2.65
Na (0.8837, 0.3830, 0.4242)  5 Ge 3.10-3.39
Na (0.6463, 0.3244, 0.5047)  3 Ge 3.11-3.29, 1 Sn 3.25, 3 Na 3.38-3.45
Na (0.5184, 0.9990, 0.2124)  5 Ge 3.02-3.36
Ge (0.3728, 0.1816, 0.6972)  3 Ge 2.59-2.62
Sn (0.9899, 0.9899, 0.5000)  10 Na 3.18-3.41
Na (0.7704, 0.0823, 0.2312)  2 Ge 2.92-2.98, 1 Na 3.08
Na (0.4213, 0.7383, 0.7532)  4 Ge 3.01-3.33, 2 Na 3.22-3.35
Na (0.2768, 0.4342, 0.9850)  4 Ge 3.09-3.23, 1 Na 3.24, 1 Sn 3.38
Ge (0.2985, 0.9527, 0.4010)  3 Ge 2.57-2.65
Na (0.5753, 0.2688, 0.7278)  2 Ge 3.03-3.21, 1 Na 3.29, 1 Sn 3.32
Na (0.4990, 0.9816, 0.9624)  5 Ge 3.02-3.36
Na (0.1463, 0.1756, 0.2453)  3 Ge 3.11-3.29, 1 Sn 3.25, 3 Na 3.38-3.45
Na (0.8654, 0.6203, 0.6553)  3 Ge 2.96-3.13
Ge (0.2015, 0.4527, 0.8490)  3 Ge 2.57-2.65
Na (0.8344, 0.1452, 0.9831)  3 Ge 2.96-3.25, 1 Sn 3.18

=====

Entry 6:
Ce2TiO5: optimized geometry, PBE-GGA.

- VASP energy (eV/cell) = -284.29
- SG = No. 62
- E above lowest polymorph (meV per atom) = 0
- formation energy from the elements (eV per atom) = -3.751
- mass density (kg/m3) = 5667

Cell: 3.8467 10.7734 11.5425 Å, 90.00 90.00 90.00°
With the nearest neighbours (Å) after each atom.
Fractional coordinates of all 32 atoms:
O (0.2500, 0.7645, 0.6176)  2 Ti 2.01
O (0.7500, 0.0084, 0.1025)  4 Ce 2.38-2.43
Ti (0.7500, 0.8186, 0.6216)  5 O 1.83-2.01
O (0.7500, 0.5084, 0.3975)  4 Ce 2.38-2.43
Ti (0.7500, 0.3186, 0.8784)  5 O 1.83-2.01
O (0.7500, 0.7355, 0.1176)  2 Ti 2.01
O (0.7500, 0.2355, 0.3824)  2 Ti 2.01
O (0.2500, 0.2645, 0.8824)  2 Ti 2.01
Ce (0.7500, 0.8624, 0.9424)  7 O 2.39-2.44
O (0.2500, 0.4916, 0.6025)  4 Ce 2.38-2.43
Ce (0.7500, 0.8922, 0.2781)  7 O 2.37-2.51
O (0.7500, 0.2369, 0.7282)  1 Ti 1.94
O (0.2500, 0.7239, 0.9576)  1 Ti 1.95
Ti (0.2500, 0.6814, 0.1216)  5 O 1.83-2.01
O (0.2500, 0.5173, 0.1612)  1 Ti 1.83
O (0.2500, 0.0173, 0.3388)  1 Ti 1.83
Ce (0.2500, 0.6376, 0.4424)  7 O 2.39-2.44
Ce (0.7500, 0.3624, 0.5576)  7 O 2.39-2.44
O (0.2500, 0.7631, 0.2718)  1 Ti 1.94
Ce (0.2500, 0.1078, 0.7219)  7 O 2.37-2.51
O (0.2500, 0.2631, 0.2282)  1 Ti 1.94
O (0.7500, 0.4827, 0.8388)  1 Ti 1.83
O (0.2500, 0.9916, 0.8975)  4 Ce 2.38-2.43
Ce (0.2500, 0.1376, 0.0576)  7 O 2.39-2.44
Ce (0.2500, 0.6078, 0.7781)  7 O 2.37-2.51
O (0.7500, 0.7369, 0.7718)  1 Ti 1.94
Ti (0.2500, 0.1814, 0.3784)  5 O 1.83-2.01
O (0.7500, 0.7761, 0.4576)  1 Ti 1.95
Ce (0.7500, 0.3922, 0.2219)  7 O 2.37-2.51
O (0.7500, 0.9827, 0.6612)  1 Ti 1.83
O (0.7500, 0.2761, 0.0424)  1 Ti 1.95
O (0.2500, 0.2239, 0.5424)  1 Ti 1.95